## A
## LiMnSiO4 (PBE with a Hubbard U)

Data for a relaxed LiMnSiO4 crystal.

Cell and atoms, written as CIF:
```
data_LiMnSiO4
_symmetry_space_group_name_H-M 'P n a 21'
_symmetry_Int_Tables_number 33
_symmetry_space_group_name_Hall 'P 2c -2n'
_cell_length_a 10.204
_cell_length_b 4.799
_cell_length_c 6.304
_cell_angle_alpha 90.00
_cell_angle_beta 90.00
_cell_angle_gamma 90.00
loop_
_atom_site_label
_atom_site_type_symbol
_atom_site_fract_x
_atom_site_fract_y
_atom_site_fract_z
Li1 Li 0.219 0.042 0.000
Mn1 Mn 0.000 0.500 0.252
Si1 Si 0.091 0.093 0.502
O1 O 0.058 0.743 0.002
O2 O 0.092 0.757 0.502
O3 O 0.148 0.241 0.721
O4 O 0.148 0.242 0.284
```

Magnetic moment (μB/f.u.): 4.000

## B
## LiMnSiO4 (PBE with a Hubbard U)

Data for a relaxed LiMnSiO4 crystal.

Cell and atoms, written as CIF:
```
data_LiMnSiO4
_symmetry_space_group_name_H-M 'P 1 21 1'
_symmetry_Int_Tables_number 4
_symmetry_space_group_name_Hall 'P 2yb'
_cell_length_a 4.824
_cell_length_b 10.046
_cell_length_c 6.016
_cell_angle_alpha 90.00
_cell_angle_beta 90.09
_cell_angle_gamma 90.00
loop_
_atom_site_label
_atom_site_type_symbol
_atom_site_fract_x
_atom_site_fract_y
_atom_site_fract_z
Li1 Li 0.239 0.000 0.248
Li2 Li 0.251 0.017 0.743
Mn1 Mn 0.230 0.737 0.003
Mn2 Mn 0.268 0.285 0.497
Si1 Si 0.187 0.605 0.517
Si2 Si 0.317 0.417 0.017
O1 O 0.021 0.686 0.315
O2 O 0.021 0.906 0.992
O3 O 0.035 0.670 0.740
O4 O 0.066 0.451 0.505
O5 O 0.433 0.572 0.021
O6 O 0.469 0.347 0.236
O7 O 0.475 0.114 0.489
O8 O 0.482 0.342 0.809
```

Magnetic moment (μB/f.u.): 4.000

Of them, B has the highest stability.

## A
## Li6V3P8O29 (PBE with a Hubbard U)

Data for a relaxed Li6V3P8O29 crystal.

Cell and atoms, written as CIF:
```
data_Li6V3P8O29
_symmetry_space_group_name_H-M 'P 1'
_symmetry_Int_Tables_number 1
_symmetry_space_group_name_Hall 'P 1'
_cell_length_a 9.777
_cell_length_b 9.789
_cell_length_c 14.016
_cell_angle_alpha 89.40
_cell_angle_beta 89.83
_cell_angle_gamma 60.44
loop_
_atom_site_label
_atom_site_type_symbol
_atom_site_fract_x
_atom_site_fract_y
_atom_site_fract_z
Li1 Li 0.000 0.000 0.000
Li2 Li 0.001 0.416 0.454
Li3 Li 0.332 0.193 0.126
Li4 Li 0.333 0.763 0.676
Li5 Li 0.423 0.433 0.000
Li6 Li 0.567 0.862 0.006
Li7 Li 0.570 0.422 0.499
Li8 Li 0.604 0.139 0.568
Li9 Li 0.678 0.141 0.072
Li10 Li 0.753 0.775 0.627
Li11 Li 0.899 0.766 0.126
Li12 Li 0.984 0.862 0.506
V1 V 0.099 0.101 0.808
V2 V 0.104 0.658 0.315
V3 V 0.227 0.529 0.813
V4 V 0.230 0.092 0.315
V5 V 0.661 0.659 0.818
V6 V 0.667 0.528 0.312
P1 P 0.324 0.765 0.934
P2 P 0.336 0.757 0.435
P3 P 0.352 0.179 0.909
P4 P 0.352 0.314 0.402
P5 P 0.437 0.409 0.219
P6 P 0.446 0.008 0.724
P7 P 0.570 0.413 0.716
P8 P 0.578 0.869 0.225
P9 P 0.747 0.314 0.900
P10 P 0.757 0.778 0.410
P11 P 0.884 0.180 0.403
P12 P 0.892 0.780 0.907
P13 P 0.974 0.012 0.218
P14 P 0.981 0.871 0.723
P15 P 0.993 0.436 0.693
P16 P 0.997 0.433 0.194
O1 O 0.002 0.843 0.227
O2 O 0.003 0.015 0.723
O3 O 0.034 0.195 0.393
O4 O 0.045 0.624 0.897
O5 O 0.129 0.016 0.234
O6 O 0.139 0.437 0.739
O7 O 0.147 0.723 0.736
O8 O 0.151 0.285 0.232
O9 O 0.175 0.910 0.890
O10 O 0.184 0.756 0.397
O11 O 0.189 0.465 0.394
O12 O 0.196 0.180 0.894
O13 O 0.280 0.563 0.231
O14 O 0.293 0.996 0.731
O15 O 0.318 0.765 0.040
O16 O 0.319 0.175 0.402
O17 O 0.329 0.346 0.906
O18 O 0.334 0.610 0.893
O19 O 0.334 0.753 0.542
O20 O 0.334 0.902 0.390
O21 O 0.405 0.435 0.728
O22 O 0.412 0.016 0.226
O23 O 0.435 0.094 0.000
O24 O 0.442 0.322 0.128
O25 O 0.449 0.294 0.305
O26 O 0.454 0.309 0.483
O27 O 0.463 0.092 0.641
O28 O 0.465 0.085 0.821
O29 O 0.473 0.773 0.897
O30 O 0.484 0.607 0.397
O31 O 0.557 0.576 0.732
O32 O 0.569 0.718 0.236
O33 O 0.576 0.437 0.227
O34 O 0.585 0.834 0.729
O35 O 0.643 0.334 0.624
O36 O 0.650 0.306 0.981
O37 O 0.666 0.871 0.136
O38 O 0.666 0.886 0.318
O39 O 0.676 0.296 0.801
O40 O 0.677 0.861 0.499
O41 O 0.741 0.477 0.892
O42 O 0.742 0.348 0.406
O43 O 0.745 0.759 0.907
O44 O 0.770 0.614 0.397
O45 O 0.844 0.582 0.732
O46 O 0.852 0.429 0.243
O47 O 0.861 0.110 0.303
O48 O 0.872 0.887 0.814
O49 O 0.881 0.080 0.483
O50 O 0.889 0.871 0.995
O51 O 0.893 0.084 0.125
O52 O 0.898 0.860 0.635
O53 O 0.917 0.179 0.903
O54 O 0.926 0.755 0.405
O55 O 0.989 0.445 0.089
O56 O 0.991 0.585 0.237
O57 O 0.997 0.438 0.587
O58 O 0.998 0.284 0.736
```

Magnetic moment (μB/f.u.): 3.000

## B
## Li6V3P8O29 (PBE with a Hubbard U)

Data for a relaxed Li6V3P8O29 crystal.

Cell and atoms, written as CIF:
```
data_Li6V3P8O29
_symmetry_space_group_name_H-M 'P 1'
_symmetry_Int_Tables_number 1
_symmetry_space_group_name_Hall 'P 1'
_cell_length_a 9.755
_cell_length_b 9.810
_cell_length_c 13.974
_cell_angle_alpha 89.71
_cell_angle_beta 89.55
_cell_angle_gamma 60.19
loop_
_atom_site_label
_atom_site_type_symbol
_atom_site_fract_x
_atom_site_fract_y
_atom_site_fract_z
Li1 Li 0.000 0.000 0.000
Li2 Li 0.000 0.435 0.491
Li3 Li 0.142 0.857 0.494
Li4 Li 0.145 0.427 0.999
Li5 Li 0.243 0.661 0.119
Li6 Li 0.246 0.102 0.668
Li7 Li 0.573 0.859 0.002
Li8 Li 0.667 0.101 0.124
Li9 Li 0.673 0.665 0.615
Li10 Li 0.807 0.097 0.612
Li11 Li 0.892 0.722 0.072
Li12 Li 0.905 0.762 0.546
V1 V 0.343 0.763 0.306
V2 V 0.346 0.330 0.804
V3 V 0.467 0.202 0.315
V4 V 0.473 0.764 0.810
V5 V 0.905 0.331 0.304
V6 V 0.906 0.203 0.811
P1 P 0.129 0.859 0.712
P2 P 0.135 0.451 0.214
P3 P 0.209 0.546 0.399
P4 P 0.215 0.680 0.897
P5 P 0.234 0.099 0.428
P6 P 0.241 0.098 0.928
P7 P 0.571 0.429 0.190
P8 P 0.580 0.430 0.687
P9 P 0.598 0.853 0.218
P10 P 0.601 0.984 0.718
P11 P 0.677 0.076 0.905
P12 P 0.684 0.675 0.401
P13 P 0.820 0.076 0.399
P14 P 0.824 0.542 0.899
P15 P 0.995 0.990 0.215
P16 P 0.997 0.449 0.713
O1 O 0.013 0.285 0.729
O2 O 0.092 0.254 0.391
O3 O 0.096 0.088 0.886
O4 O 0.098 0.565 0.479
O5 O 0.111 0.766 0.804
O6 O 0.113 0.569 0.300
O7 O 0.124 0.542 0.123
O8 O 0.126 0.779 0.622
O9 O 0.134 0.768 0.988
O10 O 0.163 0.844 0.214
O11 O 0.164 0.426 0.716
O12 O 0.227 0.954 0.389
O13 O 0.234 0.098 0.536
O14 O 0.234 0.250 0.884
O15 O 0.238 0.101 0.034
O16 O 0.242 0.512 0.898
O17 O 0.242 0.686 0.397
O18 O 0.279 0.872 0.728
O19 O 0.292 0.300 0.225
O20 O 0.364 0.390 0.393
O21 O 0.374 0.679 0.881
O22 O 0.386 0.095 0.385
O23 O 0.397 0.952 0.889
O24 O 0.414 0.575 0.229
O25 O 0.432 0.428 0.733
O26 O 0.436 0.135 0.725
O27 O 0.441 0.850 0.230
O28 O 0.523 0.232 0.890
O29 O 0.526 0.678 0.389
O30 O 0.565 0.427 0.083
O31 O 0.569 0.021 0.221
O32 O 0.571 0.841 0.717
O33 O 0.578 0.277 0.234
O34 O 0.582 0.578 0.725
O35 O 0.590 0.416 0.581
O36 O 0.650 0.109 0.400
O37 O 0.652 0.682 0.901
O38 O 0.675 0.992 0.996
O39 O 0.684 0.773 0.127
O40 O 0.694 0.962 0.817
O41 O 0.699 0.750 0.491
O42 O 0.705 0.764 0.309
O43 O 0.705 0.975 0.637
O44 O 0.712 0.439 0.234
O45 O 0.726 0.280 0.734
O46 O 0.823 0.097 0.901
O47 O 0.826 0.506 0.395
O48 O 0.828 0.228 0.386
O49 O 0.828 0.383 0.894
O50 O 0.896 0.564 0.799
O51 O 0.905 0.987 0.127
O52 O 0.908 0.984 0.488
O53 O 0.909 0.966 0.307
O54 O 0.910 0.528 0.622
O55 O 0.918 0.556 0.979
O56 O 0.983 0.026 0.717
O57 O 0.996 0.420 0.220
O58 O 0.999 0.141 0.226
```

Magnetic moment (μB/f.u.): 3.000

Of them, A has the highest stability.